1.
# Sc2CuTc

Sc2CuTc after structural relaxation (PBE, Materials Project).

Unit cell a=4.5813 b=4.5813 c=4.5813 alpha=60.00 beta=60.00 gamma=60.00
Sites, in units of the cell vectors:
Sc 0.2500 0.2500 0.2500
Sc 0.7500 0.7500 0.7500
Cu 0.0000 0.0000 0.0000
Tc 0.5000 0.5000 0.5000

Results
The energy relative to the elements is -98 kJ/mol of formula units.


2.
# Ba6Ca15Cu18Hg3O43

Ba6Ca15Cu18Hg3O43 after structural relaxation (PBE, Materials Project).

Unit cell a=8.6414 b=8.6414 c=26.3330 alpha=101.35 beta=101.35 gamma=36.97
Sites, in units of the cell vectors:
Ba 0.0342 0.0342 0.1026
Ba 0.2978 0.2978 0.8923
Ba 0.3696 0.3696 0.1077
Ba 0.6304 0.6304 0.8923
Ba 0.7022 0.7022 0.1077
Ba 0.9658 0.9658 0.8974
Ca 0.0816 0.0816 0.2447
Ca 0.1244 0.1244 0.3732
Ca 0.1667 0.1667 0.4999
Ca 0.2089 0.2089 0.6265
Ca 0.2512 0.2512 0.7539
Ca 0.4153 0.4153 0.2461
Ca 0.4578 0.4578 0.3734
Ca 0.5000 0.5000 0.5000
Ca 0.5422 0.5422 0.6266
Ca 0.5847 0.5847 0.7539
Ca 0.7488 0.7488 0.2461
Ca 0.7911 0.7911 0.3735
Ca 0.8333 0.8333 0.5001
Ca 0.8756 0.8756 0.6268
Ca 0.9184 0.9184 0.7553
Cu 0.0207 0.0207 0.5625
Cu 0.0626 0.0626 0.6886
Cu 0.1046 0.1046 0.8151
Cu 0.2279 0.2279 0.1849
Cu 0.2701 0.2701 0.3114
Cu 0.3123 0.3123 0.4375
Cu 0.3541 0.3541 0.5625
Cu 0.3962 0.3962 0.6887
Cu 0.4386 0.4386 0.8156
Cu 0.5614 0.5614 0.1844
Cu 0.6038 0.6038 0.3113
Cu 0.6459 0.6459 0.4375
Cu 0.6877 0.6877 0.5625
Cu 0.7299 0.7299 0.6886
Cu 0.7721 0.7721 0.8151
Cu 0.8954 0.8954 0.1849
Cu 0.9374 0.9374 0.3114
Cu 0.9793 0.9793 0.4375
Hg 0.1603 0.1603 0.9999
Hg 0.5000 0.5000 0.0000
Hg 0.8397 0.8397 0.0001
O 0.0000 0.0000 0.0000
O 0.0207 0.5209 0.5626
O 0.0621 0.5625 0.6877
O 0.0626 0.5624 0.1875
O 0.1044 0.6033 0.3122
O 0.1050 0.6015 0.8118
O 0.1441 0.1441 0.9207
O 0.1463 0.6451 0.4374
O 0.1879 0.6870 0.5626
O 0.1970 0.1970 0.0794
O 0.2296 0.7291 0.6877
O 0.2306 0.7269 0.1882
O 0.2709 0.7704 0.3123
O 0.2731 0.7694 0.8118
O 0.3130 0.8121 0.4374
O 0.3549 0.8537 0.5626
O 0.3967 0.8956 0.6878
O 0.3985 0.8950 0.1882
O 0.4375 0.9379 0.3123
O 0.4376 0.9374 0.8125
O 0.4733 0.4733 0.9199
O 0.4791 0.9793 0.4374
O 0.5209 0.0207 0.5626
O 0.5267 0.5267 0.0801
O 0.5624 0.0626 0.1875
O 0.5625 0.0621 0.6877
O 0.6015 0.1050 0.8118
O 0.6033 0.1044 0.3122
O 0.6451 0.1463 0.4374
O 0.6870 0.1879 0.5626
O 0.7269 0.2306 0.1882
O 0.7291 0.2296 0.6877
O 0.7694 0.2731 0.8118
O 0.7704 0.2709 0.3123
O 0.8030 0.8030 0.9206
O 0.8121 0.3130 0.4374
O 0.8537 0.3549 0.5626
O 0.8559 0.8559 0.0793
O 0.8950 0.3985 0.1882
O 0.8956 0.3967 0.6878
O 0.9374 0.4376 0.8125
O 0.9379 0.4375 0.3123
O 0.9793 0.4791 0.4374

Results
The energy relative to the elements is -16940 kJ/mol of formula units.


Copy entry 1 word for word.
# Sc2CuTc

Sc2CuTc after structural relaxation (PBE, Materials Project).

Unit cell a=4.5813 b=4.5813 c=4.5813 alpha=60.00 beta=60.00 gamma=60.00
Sites, in units of the cell vectors:
Sc 0.2500 0.2500 0.2500
Sc 0.7500 0.7500 0.7500
Cu 0.0000 0.0000 0.0000
Tc 0.5000 0.5000 0.5000

Results
The energy relative to the elements is -98 kJ/mol of formula units.